Entry 1:
A plane-wave DFT calculation with PBE was carried out for crystalline GdFe2Ge2 at its relaxed geometry.

**Energy of formation from the pure elements**: -2.24 eV/f.u.

Cell and atoms, written as CIF:
```
data_GdFe2Ge2
_chemical_formula_sum 'Gd1 Fe2 Ge2'
_symmetry_space_group_name_H-M 'P 1'
_symmetry_Int_Tables_number 1
_symmetry_space_group_name_Hall 'P 1'
_cell_length_a 3.975
_cell_length_b 3.985
_cell_length_c 6.032
_cell_angle_alpha 108.85
_cell_angle_beta 109.36
_cell_angle_gamma 89.97
loop_
_atom_site_label
_atom_site_type_symbol
_atom_site_fract_x
_atom_site_fract_y
_atom_site_fract_z
Gd1 Gd 0.993 0.003 0.001
Fe1 Fe 0.246 0.761 0.501
Fe2 Fe 0.740 0.243 0.500
Ge1 Ge 0.373 0.389 0.763
Ge2 Ge 0.613 0.616 0.237
```

Entry 2:
A plane-wave DFT calculation with PBE was carried out for crystalline Gd2Fe17H3 at its relaxed geometry.

**Energy of formation from the pure elements**: -1.29 eV/f.u.
**Total energy after the MP2020 corrections**: -183.61 eV/cell

Cell and atoms, written as CIF:
```
data_Gd2Fe17H3
_chemical_formula_sum 'Gd2 Fe17 H3'
_symmetry_space_group_name_H-M 'P 1'
_symmetry_Int_Tables_number 1
_symmetry_space_group_name_Hall 'P 1'
_cell_length_a 6.406
_cell_length_b 6.406
_cell_length_c 6.406
_cell_angle_alpha 84.29
_cell_angle_beta 84.29
_cell_angle_gamma 84.29
loop_
_atom_site_label
_atom_site_type_symbol
_atom_site_fract_x
_atom_site_fract_y
_atom_site_fract_z
Gd1 Gd 0.657 0.657 0.657
Gd2 Gd 0.343 0.343 0.343
Fe1 Fe 0.000 0.000 0.500
Fe2 Fe 0.000 0.500 0.000
Fe3 Fe 0.500 0.000 0.000
Fe4 Fe 0.285 0.715 0.000
Fe5 Fe 0.715 0.000 0.285
Fe6 Fe 0.000 0.285 0.715
Fe7 Fe 0.285 0.000 0.715
Fe8 Fe 0.000 0.715 0.285
Fe9 Fe 0.715 0.285 0.000
Fe10 Fe 0.342 0.342 0.847
Fe11 Fe 0.342 0.847 0.342
Fe12 Fe 0.847 0.342 0.342
Fe13 Fe 0.658 0.658 0.153
Fe14 Fe 0.658 0.153 0.658
Fe15 Fe 0.153 0.658 0.658
Fe16 Fe 0.902 0.902 0.902
Fe17 Fe 0.098 0.098 0.098
H1 H 0.500 0.500 0.000
H2 H 0.500 0.000 0.500
H3 H 0.000 0.500 0.500
```

Entry 3:
A plane-wave DFT calculation with PBE was carried out for crystalline GdFe10Mo2N at its relaxed geometry.

**Energy of formation from the pure elements**: -1.62 eV/f.u.
**Total energy after the MP2020 corrections**: -130.42 eV/cell

Cell and atoms, written as CIF:
```
data_GdFe10Mo2N
_chemical_formula_sum 'Gd1 Fe10 Mo2 N1'
_symmetry_space_group_name_H-M 'P 1'
_symmetry_Int_Tables_number 1
_symmetry_space_group_name_Hall 'P 1'
_cell_length_a 4.793
_cell_length_b 6.563
_cell_length_c 6.563
_cell_angle_alpha 98.24
_cell_angle_beta 111.42
_cell_angle_gamma 68.58
loop_
_atom_site_label
_atom_site_type_symbol
_atom_site_fract_x
_atom_site_fract_y
_atom_site_fract_z
Gd1 Gd 0.000 0.000 0.000
Fe1 Fe 0.720 0.780 0.220
Fe2 Fe 0.280 0.220 0.780
Fe3 Fe 0.500 0.778 0.778
Fe4 Fe 0.500 0.222 0.222
Fe5 Fe 0.500 0.000 0.500
Fe6 Fe 0.000 0.000 0.500
Fe7 Fe 0.500 0.500 0.000
Fe8 Fe 0.000 0.500 0.000
Fe9 Fe 0.640 0.360 0.640
Fe10 Fe 0.360 0.640 0.360
Mo1 Mo 0.000 0.357 0.357
Mo2 Mo 0.000 0.643 0.643
N1 N 0.500 0.000 0.000
```

Entry 4:
A plane-wave DFT calculation with PBE was carried out for crystalline GdFeNi4 at its relaxed geometry.

**Energy of formation from the pure elements**: -1.39 eV/f.u.

Cell and atoms, written as CIF:
```
data_GdFeNi4
_chemical_formula_sum 'Gd1 Fe1 Ni4'
_symmetry_space_group_name_H-M 'P 1'
_symmetry_Int_Tables_number 1
_symmetry_space_group_name_Hall 'P 1'
_cell_length_a 4.936
_cell_length_b 4.936
_cell_length_c 3.953
_cell_angle_alpha 90.00
_cell_angle_beta 90.00
_cell_angle_gamma 120.00
loop_
_atom_site_label
_atom_site_type_symbol
_atom_site_fract_x
_atom_site_fract_y
_atom_site_fract_z
Gd1 Gd 0.333 0.667 0.000
Fe1 Fe 0.667 0.333 0.000
Ni1 Ni 0.000 0.000 0.000
Ni2 Ni 0.333 0.166 0.500
Ni3 Ni 0.834 0.166 0.500
Ni4 Ni 0.834 0.667 0.500
```

no.,volume (Å³ per atom)
1,16.942
2,11.781
3,12.777
4,13.902